The following is a PBE calculation of a geometry-optimized Ag2Hg7P8I6 structure, from Materials Project.

a = 8.756 Å, b = 8.756 Å, c = 8.534 Å
α = 99.70°, β = 99.70°, γ = 79.78°
Fractional coordinates of all 23 atoms:
1 Ag 0.000 0.500 0.000
2 Ag 0.500 0.000 0.000
3 Hg 0.000 0.000 0.500
4 Hg 0.270 0.635 0.735
5 Hg 0.272 0.272 0.368
6 Hg 0.365 0.730 0.265
7 Hg 0.635 0.270 0.735
8 Hg 0.728 0.728 0.632
9 Hg 0.730 0.365 0.265
10 P 0.078 0.764 0.921
11 P 0.085 0.085 0.242
12 P 0.236 0.922 0.079
13 P 0.438 0.438 0.566
14 P 0.562 0.562 0.434
15 P 0.764 0.078 0.921
16 P 0.915 0.915 0.758
17 P 0.922 0.236 0.079
18 I 0.038 0.640 0.352
19 I 0.354 0.354 0.035
20 I 0.360 0.962 0.648
21 I 0.640 0.038 0.352
22 I 0.646 0.646 0.965
23 I 0.962 0.360 0.648

Output
The value obtained for the formation energy is -0.23 eV per atom.

The following is a PBE calculation of a geometry-optimized In3Ag3Hg2Te8 structure, from Materials Project.

a = 6.620 Å, b = 6.620 Å, c = 13.006 Å
α = 90.00°, β = 90.00°, γ = 90.00°
Fractional coordinates of all 16 atoms:
1 In 0.000 0.000 0.000
2 In 0.000 0.500 0.249
3 In 0.500 0.000 0.751
4 Ag 0.000 0.500 0.751
5 Ag 0.500 0.000 0.249
6 Ag 0.500 0.500 0.000
7 Hg 0.000 0.000 0.500
8 Hg 0.500 0.500 0.500
9 Te 0.248 0.254 0.628
10 Te 0.251 0.744 0.875
11 Te 0.254 0.752 0.372
12 Te 0.256 0.251 0.125
13 Te 0.744 0.749 0.125
14 Te 0.746 0.248 0.372
15 Te 0.749 0.256 0.875
16 Te 0.752 0.746 0.628

Output
The value obtained for the formation energy is -0.47 eV per atom.

The following is a PBE calculation of a geometry-optimized LaAgHg2 structure, from Materials Project.

a = 5.210 Å, b = 5.210 Å, c = 5.210 Å
α = 60.00°, β = 60.00°, γ = 60.00°
Fractional coordinates of all 4 atoms:
1 La 0.000 0.000 0.000
2 Ag 0.500 0.500 0.500
3 Hg 0.250 0.250 0.250
4 Hg 0.750 0.750 0.750

Output
The value obtained for the formation energy is -0.39 eV per atom.

The following is a PBE calculation of a geometry-optimized LuAgHg2 structure, from Materials Project.

a = 4.965 Å, b = 4.965 Å, c = 4.965 Å
α = 60.00°, β = 60.00°, γ = 60.00°
Fractional coordinates of all 4 atoms:
1 Lu 0.000 0.000 0.000
2 Ag 0.500 0.500 0.500
3 Hg 0.250 0.250 0.250
4 Hg 0.750 0.750 0.750

Output
The value obtained for the formation energy is -0.29 eV per atom.

The following is a PBE calculation of a geometry-optimized Lu2AgHg structure, from Materials Project.

a = 5.106 Å, b = 5.106 Å, c = 5.106 Å
α = 60.00°, β = 60.00°, γ = 60.00°
Fractional coordinates of all 4 atoms:
1 Lu 0.250 0.250 0.250
2 Lu 0.750 0.750 0.750
3 Ag 0.000 0.000 0.000
4 Hg 0.500 0.500 0.500

Output
The value obtained for the formation energy is -0.42 eV per atom.

The following is a PBE calculation of a geometry-optimized NdAgHg2 structure, from Materials Project.

a = 5.133 Å, b = 5.133 Å, c = 5.133 Å
α = 60.00°, β = 60.00°, γ = 60.00°
Fractional coordinates of all 4 atoms:
1 Nd 0.000 0.000 0.000
2 Ag 0.500 0.500 0.500
3 Hg 0.250 0.250 0.250
4 Hg 0.750 0.750 0.750

Output
The value obtained for the formation energy is -0.36 eV per atom.

The following is a PBE calculation of a geometry-optimized Nd2AgHg structure, from Materials Project.

a = 5.378 Å, b = 5.378 Å, c = 5.378 Å
α = 60.00°, β = 60.00°, γ = 60.00°
Fractional coordinates of all 4 atoms:
1 Nd 0.250 0.250 0.250
2 Nd 0.750 0.750 0.750
3 Ag 0.000 0.000 0.000
4 Hg 0.500 0.500 0.500

Output
The value obtained for the formation energy is -0.37 eV per atom.

The following is a PBE calculation of a geometry-optimized AgHgO2 structure, from Materials Project.

a = 4.068 Å, b = 5.459 Å, c = 5.944 Å
α = 92.11°, β = 95.11°, γ = 90.53°
Fractional coordinates of all 8 atoms:
1 Ag 0.000 0.000 0.000
2 Ag 0.000 0.500 0.500
3 Hg 0.500 0.000 0.500
4 Hg 0.500 0.500 0.000
5 O 0.161 0.288 0.793
6 O 0.202 0.216 0.291
7 O 0.798 0.784 0.709
8 O 0.839 0.712 0.207

Output
The value obtained for the formation energy is -0.51 eV per atom.

no.,uncorrected energy (eV per atom),volume (Å³/f.u.)
1,-2.751,628.14
2,-2.912,570.06
3,-2.479,100.01
4,-2.278,86.55
5,-3.460,94.15
6,-2.416,95.61
7,-3.541,110.01
8,-3.427,65.68